[1]
First-principles (PBE with a Hubbard U) data for crystalline Li9Mn2Co5O16 at its relaxed geometry, as listed in the Materials Project database.

Properties
ΔH_f (0 K) (eV per atom): -1.82
Total moment (μB/cell): 16.00
ΔE to the lowest computed polymorph (meV per atom): 46.0

a = 16.954 Å, b = 5.802 Å, c = 5.865 Å
α = 90.00°, β = 90.58°, γ = 90.00°
Space group Cm (No. 8)
Asymmetric unit:
Li  0.000  0.000  0.000 [2 per cell]
Li  0.001  0.000  0.500 [2 per cell]
Li  0.120  0.242  0.756 [4 per cell]
Li  0.244  0.000  0.005 [2 per cell]
Li  0.245  0.500  0.001 [2 per cell]
Li  0.377  0.252  0.249 [4 per cell]
Li  0.499  0.000  0.502 [2 per cell]
Mn  0.375  0.249  0.753 [4 per cell]
Co  0.117  0.243  0.242 [4 per cell]
Co  0.239  0.500  0.495 [2 per cell]
Co  0.248  0.000  0.498 [2 per cell]
Co  0.499  0.000  0.003 [2 per cell]
O  0.003  0.266  0.237 [4 per cell]
O  0.119  0.000  0.489 [2 per cell]
O  0.125  0.000  0.010 [2 per cell]
O  0.127  0.500  0.010 [2 per cell]
O  0.130  0.500  0.500 [2 per cell]
O  0.246  0.239  0.272 [4 per cell]
O  0.258  0.240  0.727 [4 per cell]
O  0.369  0.000  0.977 [2 per cell]
O  0.369  0.500  0.974 [2 per cell]
O  0.374  0.500  0.527 [2 per cell]
O  0.377  0.000  0.527 [2 per cell]
O  0.488  0.237  0.771 [4 per cell]

=====

[2]
First-principles (PBE with a Hubbard U) data for crystalline Na3MnO4 at its relaxed geometry, as listed in the Materials Project database.

Properties
ΔH_f (0 K) (eV per atom): -1.72
Total moment (μB/cell): 8.00

a = 7.895 Å, b = 7.895 Å, c = 7.895 Å
α = 90.00°, β = 90.00°, γ = 90.00°
Space group P2_13 (No. 198)
Asymmetric unit:
Na  0.006  0.006  0.006 [4 per cell]
Na  0.216  0.216  0.216 [4 per cell]
Na  0.243  0.757  0.257 [4 per cell]
Mn  0.002  0.502  0.998 [4 per cell]
O  0.026  0.560  0.208 [12 per cell]
O  0.125  0.625  0.875 [4 per cell]

=====

[3]
First-principles (PBE with a Hubbard U) data for crystalline K2Fe2H8C4Cl2O13 at its relaxed geometry, as listed in the Materials Project database.

Properties
ΔH_f (0 K) (eV per atom): -1.47
Total moment (μB/cell): 80.19

a = 15.411 Å, b = 24.623 Å, c = 8.971 Å
α = 90.00°, β = 90.00°, γ = 90.00°
Space group Fdd2 (No. 43)
Asymmetric unit:
K  0.033  0.089  0.000 [16 per cell]
Fe  0.068  0.444  0.921 [16 per cell]
H  0.032  0.298  0.384 [16 per cell]
H  0.084  0.240  0.150 [16 per cell]
H  0.098  0.303  0.515 [16 per cell]
H  0.122  0.469  0.542 [16 per cell]
C  0.049  0.111  0.618 [16 per cell]
C  0.066  0.137  0.465 [16 per cell]
Cl  0.070  0.251  0.762 [16 per cell]
O  0.000  0.000  0.346 [8 per cell]
O  0.011  0.425  0.124 [16 per cell]
O  0.023  0.119  0.357 [16 per cell]
O  0.072  0.323  0.433 [16 per cell]
O  0.095  0.127  0.726 [16 per cell]
O  0.108  0.487  0.446 [16 per cell]
O  0.122  0.175  0.462 [16 per cell]

=====

[4]
First-principles (PBE with a Hubbard U) data for crystalline Li4Nb2V3Fe3O16 at its relaxed geometry, as listed in the Materials Project database.

Properties
ΔH_f (0 K) (eV per atom): -2.42
Total moment (μB/cell): 17.00
ΔE to the lowest computed polymorph (meV per atom): 0.0

a = 6.003 Å, b = 6.024 Å, c = 9.785 Å
α = 89.96°, β = 89.73°, γ = 60.61°
Space group P1 (No. 1)
Asymmetric unit:
Li  0.000  0.000  0.000 [1 per cell]
Li  0.000  0.003  0.499 [1 per cell]
Li  0.315  0.344  0.591 [1 per cell]
Li  0.647  0.674  0.090 [1 per cell]
Nb  0.329  0.333  0.993 [1 per cell]
Nb  0.666  0.664  0.494 [1 per cell]
V  0.165  0.659  0.275 [1 per cell]
V  0.169  0.178  0.268 [1 per cell]
V  0.341  0.829  0.767 [1 per cell]
Fe  0.651  0.172  0.277 [1 per cell]
Fe  0.819  0.345  0.776 [1 per cell]
Fe  0.823  0.830  0.775 [1 per cell]
O  0.012  0.004  0.189 [1 per cell]
O  0.013  0.985  0.689 [1 per cell]
O  0.023  0.476  0.148 [1 per cell]
O  0.156  0.666  0.896 [1 per cell]
O  0.168  0.166  0.899 [1 per cell]
O  0.296  0.336  0.385 [1 per cell]
O  0.335  0.841  0.395 [1 per cell]
O  0.452  0.045  0.143 [1 per cell]
O  0.456  0.492  0.145 [1 per cell]
O  0.489  0.545  0.641 [1 per cell]
O  0.503  0.971  0.651 [1 per cell]
O  0.622  0.699  0.883 [1 per cell]
O  0.661  0.161  0.901 [1 per cell]
O  0.832  0.341  0.403 [1 per cell]
O  0.832  0.834  0.400 [1 per cell]
O  0.944  0.538  0.647 [1 per cell]

=====

[5]
First-principles (PBE with a Hubbard U) data for crystalline ThMo2O11 at its relaxed geometry, as listed in the Materials Project database.

Properties
ΔH_f (0 K) (eV per atom): -1.59
Total moment (μB/cell): 8.00

a = 8.776 Å, b = 10.292 Å, c = 9.881 Å
α = 90.00°, β = 90.43°, γ = 90.00°
Space group P2_1/c (No. 14)
Asymmetric unit:
Th  0.188  0.040  0.277 [4 per cell]
Mo  0.093  0.723  0.503 [4 per cell]
Mo  0.256  0.089  0.693 [4 per cell]
O  0.010  0.670  0.125 [4 per cell]
O  0.061  0.145  0.086 [4 per cell]
O  0.064  0.061  0.744 [4 per cell]
O  0.193  0.676  0.887 [4 per cell]
O  0.213  0.606  0.592 [4 per cell]
O  0.253  0.075  0.510 [4 per cell]
O  0.298  0.250  0.258 [4 per cell]
O  0.358  0.542  0.277 [4 per cell]
O  0.426  0.112  0.031 [4 per cell]
O  0.463  0.549  0.823 [4 per cell]
O  0.492  0.215  0.012 [4 per cell]

=====

[6]
First-principles (PBE with a Hubbard U) data for crystalline Li32Mn13Cr3O48 at its relaxed geometry, as listed in the Materials Project database.

Properties
ΔH_f (0 K) (eV per atom): -2.19
Total moment (μB/cell): 45.00

a = 5.004 Å, b = 8.686 Å, c = 19.421 Å
α = 81.58°, β = 85.25°, γ = 89.96°
Space group P1 (No. 1)
Asymmetric unit:
Li  0.000  0.000  0.000 [1 per cell]
Li  0.001  0.001  0.500 [1 per cell]
Li  0.115  0.794  0.125 [1 per cell]
Li  0.117  0.792  0.625 [1 per cell]
Li  0.124  0.125  0.625 [1 per cell]
Li  0.126  0.125  0.125 [1 per cell]
Li  0.133  0.457  0.125 [1 per cell]
Li  0.134  0.457  0.624 [1 per cell]
Li  0.247  0.250  0.750 [1 per cell]
Li  0.250  0.250  0.250 [1 per cell]
Li  0.366  0.046  0.375 [1 per cell]
Li  0.368  0.045  0.875 [1 per cell]
Li  0.373  0.376  0.875 [1 per cell]
Li  0.375  0.375  0.375 [1 per cell]
Li  0.382  0.704  0.375 [1 per cell]
Li  0.382  0.705  0.875 [1 per cell]
Li  0.500  0.500  0.000 [1 per cell]
Li  0.500  0.501  0.500 [1 per cell]
Li  0.616  0.293  0.125 [1 per cell]
Li  0.618  0.293  0.625 [1 per cell]
Li  0.623  0.625  0.625 [1 per cell]
Li  0.624  0.625  0.125 [1 per cell]
Li  0.632  0.957  0.625 [1 per cell]
Li  0.635  0.958  0.125 [1 per cell]
Li  0.749  0.750  0.750 [1 per cell]
Li  0.752  0.749  0.250 [1 per cell]
Li  0.868  0.545  0.875 [1 per cell]
Li  0.869  0.546  0.375 [1 per cell]
Li  0.875  0.875  0.875 [1 per cell]
Li  0.876  0.873  0.375 [1 per cell]
Li  0.881  0.205  0.375 [1 per cell]
Li  0.883  0.205  0.876 [1 per cell]
Mn  0.000  0.667  0.000 [1 per cell]
Mn  0.001  0.665  0.500 [1 per cell]
Mn  0.247  0.582  0.251 [1 per cell]
Mn  0.247  0.584  0.751 [1 per cell]
Mn  0.251  0.917  0.750 [1 per cell]
Mn  0.499  0.168  0.500 [1 per cell]
Mn  0.499  0.834  0.000 [1 per cell]
Mn  0.500  0.167  0.000 [1 per cell]
Mn  0.750  0.417  0.250 [1 per cell]
Mn  0.751  0.083  0.749 [1 per cell]
Mn  0.751  0.085  0.249 [1 per cell]
Mn  0.999  0.334  0.000 [1 per cell]
Mn  0.999  0.334  0.500 [1 per cell]
Cr  0.257  0.915  0.250 [1 per cell]
Cr  0.502  0.836  0.500 [1 per cell]
Cr  0.745  0.416  0.750 [1 per cell]
O  0.052  0.051  0.307 [1 per cell]
O  0.053  0.409  0.306 [1 per cell]
O  0.054  0.053  0.807 [1 per cell]
O  0.056  0.410  0.806 [1 per cell]
O  0.087  0.727  0.306 [1 per cell]
O  0.087  0.732  0.806 [1 per cell]
O  0.161  0.519  0.944 [1 per cell]
O  0.162  0.518  0.444 [1 per cell]
O  0.196  0.198  0.443 [1 per cell]
O  0.197  0.197  0.943 [1 per cell]
O  0.197  0.840  0.944 [1 per cell]
O  0.199  0.838  0.444 [1 per cell]
O  0.301  0.659  0.556 [1 per cell]
O  0.302  0.303  0.057 [1 per cell]
O  0.303  0.303  0.557 [1 per cell]
O  0.303  0.660  0.056 [1 per cell]
O  0.338  0.985  0.556 [1 per cell]
O  0.339  0.982  0.056 [1 per cell]
O  0.406  0.769  0.194 [1 per cell]
O  0.411  0.769  0.694 [1 per cell]
O  0.447  0.090  0.694 [1 per cell]
O  0.447  0.447  0.193 [1 per cell]
O  0.448  0.449  0.693 [1 per cell]
O  0.452  0.093  0.193 [1 per cell]
O  0.549  0.554  0.807 [1 per cell]
O  0.550  0.912  0.306 [1 per cell]
O  0.552  0.553  0.307 [1 per cell]
O  0.553  0.910  0.806 [1 per cell]
O  0.589  0.232  0.306 [1 per cell]
O  0.595  0.233  0.806 [1 per cell]
O  0.658  0.019  0.444 [1 per cell]
O  0.661  0.019  0.944 [1 per cell]
O  0.696  0.340  0.944 [1 per cell]
O  0.697  0.340  0.444 [1 per cell]
O  0.697  0.698  0.943 [1 per cell]
O  0.701  0.696  0.443 [1 per cell]
O  0.799  0.801  0.557 [1 per cell]
O  0.802  0.803  0.057 [1 per cell]
O  0.803  0.160  0.056 [1 per cell]
O  0.803  0.160  0.556 [1 per cell]
O  0.838  0.481  0.556 [1 per cell]
O  0.839  0.482  0.056 [1 per cell]
O  0.913  0.265  0.693 [1 per cell]
O  0.913  0.269  0.194 [1 per cell]
O  0.946  0.590  0.194 [1 per cell]
O  0.947  0.588  0.694 [1 per cell]
O  0.947  0.946  0.693 [1 per cell]
O  0.947  0.948  0.193 [1 per cell]

=====

[7]
First-principles (PBE with a Hubbard U) data for crystalline V2P3O12 at its relaxed geometry, as listed in the Materials Project database.

Properties
ΔH_f (0 K) (eV per atom): -2.44
Total moment (μB/cell): 2.00
ΔE to the lowest computed polymorph (meV per atom): 117.6

a = 6.235 Å, b = 8.150 Å, c = 9.428 Å
α = 109.42°, β = 104.65°, γ = 102.58°
Space group P-1 (No. 2)
Asymmetric unit:
V  0.056  0.214  0.019 [2 per cell]
V  0.361  0.956  0.615 [2 per cell]
P  0.133  0.128  0.345 [2 per cell]
P  0.220  0.668  0.254 [2 per cell]
P  0.385  0.723  0.852 [2 per cell]
O  0.020  0.705  0.150 [2 per cell]
O  0.082  0.049  0.156 [2 per cell]
O  0.097  0.990  0.640 [2 per cell]
O  0.175  0.328  0.415 [2 per cell]
O  0.198  0.467  0.186 [2 per cell]
O  0.222  0.733  0.431 [2 per cell]
O  0.239  0.800  0.953 [2 per cell]
O  0.290  0.525  0.747 [2 per cell]
O  0.328  0.056  0.423 [2 per cell]
O  0.356  0.210  0.027 [2 per cell]
O  0.413  0.855  0.754 [2 per cell]
O  0.460  0.793  0.262 [2 per cell]

=====

[8]
First-principles (PBE with a Hubbard U) data for crystalline Li9Mn2Co5O16 at its relaxed geometry, as listed in the Materials Project database.

Properties
ΔH_f (0 K) (eV per atom): -1.82
Total moment (μB/cell): 10.00
ΔE to the lowest computed polymorph (meV per atom): 40.7

a = 5.129 Å, b = 5.882 Å, c = 9.731 Å
α = 88.40°, β = 78.80°, γ = 89.51°
Space group P1 (No. 1)
Asymmetric unit:
Li  0.000  0.000  0.000 [1 per cell]
Li  0.002  0.509  0.997 [1 per cell]
Li  0.008  0.256  0.502 [1 per cell]
Li  0.248  0.257  0.744 [1 per cell]
Li  0.253  0.747  0.742 [1 per cell]
Li  0.494  0.021  0.510 [1 per cell]
Li  0.507  0.494  0.504 [1 per cell]
Li  0.756  0.253  0.265 [1 per cell]
Li  0.760  0.760  0.257 [1 per cell]
Mn  0.252  0.503  0.256 [1 per cell]
Mn  0.502  0.254  0.003 [1 per cell]
Co  0.003  0.755  0.501 [1 per cell]
Co  0.258  0.009  0.257 [1 per cell]
Co  0.496  0.754  0.002 [1 per cell]
Co  0.753  0.502  0.745 [1 per cell]
Co  0.761  0.012  0.742 [1 per cell]
O  0.100  0.516  0.629 [1 per cell]
O  0.112  0.991  0.631 [1 per cell]
O  0.156  0.261  0.137 [1 per cell]
O  0.156  0.742  0.125 [1 per cell]
O  0.366  0.746  0.360 [1 per cell]
O  0.376  0.273  0.368 [1 per cell]
O  0.391  0.014  0.897 [1 per cell]
O  0.391  0.487  0.882 [1 per cell]
O  0.599  0.500  0.116 [1 per cell]
O  0.600  0.021  0.130 [1 per cell]
O  0.628  0.255  0.638 [1 per cell]
O  0.636  0.764  0.628 [1 per cell]
O  0.834  0.757  0.880 [1 per cell]
O  0.848  0.253  0.885 [1 per cell]
O  0.910  0.511  0.368 [1 per cell]
O  0.919  0.991  0.371 [1 per cell]

=====

[9]
First-principles (PBE with a Hubbard U) data for crystalline La4MgNiO8 at its relaxed geometry, as listed in the Materials Project database.

Properties
ΔH_f (0 K) (eV per atom): -3.29
Total moment (μB/cell): 4.00
ΔE to the lowest computed polymorph (meV per atom): 0.0

a = 5.541 Å, b = 12.531 Å, c = 5.536 Å
α = 90.00°, β = 90.00°, γ = 90.00°
Space group Cmmm (No. 65)
Asymmetric unit:
La  0.000  0.137  0.000 [4 per cell]
La  0.000  0.363  0.500 [4 per cell]
Mg  0.000  0.000  0.500 [2 per cell]
Ni  0.000  0.500  0.000 [2 per cell]
O  0.000  0.179  0.500 [4 per cell]
O  0.000  0.321  0.000 [4 per cell]
O  0.249  0.000  0.251 [8 per cell]